Material: Cs2SO4
Method: DFT, r2SCAN
State: relaxed

Calculated values
The space group is Pnma, No. 62. The final energy comes out at -13.786 eV per atom. The calculation puts the spin magnetization at 0.0 Bohr magnetons per cell. The value obtained for the formation energy from the elements is -2.05 eV/atom. The calculation puts the volume at 20.163 Å³ per atom.

Lattice parameters (Å, degrees): 6.2504 8.2540 10.9433 90.00 90.00 90.00
Positions (direct):
1 Cs 0.7500 0.8253 0.0908
2 Cs 0.2500 0.1747 0.9092
3 Cs 0.7500 0.3253 0.4092
4 Cs 0.2500 0.6747 0.5908
5 Cs 0.2500 0.4891 0.1987
6 Cs 0.7500 0.5109 0.8013
7 Cs 0.2500 0.9891 0.3013
8 Cs 0.7500 0.0109 0.6987
9 S 0.7500 0.2582 0.0835
10 S 0.2500 0.7418 0.9165
11 S 0.7500 0.7582 0.4165
12 S 0.2500 0.2418 0.5835
13 O 0.7500 0.4372 0.0872
14 O 0.2500 0.5628 0.9128
15 O 0.7500 0.9372 0.4128
16 O 0.2500 0.0628 0.5872
17 O 0.7500 0.2003 0.9549
18 O 0.2500 0.7997 0.0451
19 O 0.7500 0.7003 0.5451
20 O 0.2500 0.2997 0.4549
21 O 0.5564 0.1952 0.1460
22 O 0.0564 0.8048 0.8540
23 O 0.9436 0.6952 0.3540
24 O 0.4436 0.3048 0.6460
25 O 0.4436 0.8048 0.8540
26 O 0.9436 0.1952 0.1460
27 O 0.0564 0.3048 0.6460
28 O 0.5564 0.6952 0.3540